1.
Below is a relaxed structure of Rb2PrAgBr6, with properties calculated at the GGA-PBE level. Values from VASP.

Energy (Ha/atom): -0.1275
Space-group type: Fm-3m

```
&SYSTEM
  ibrav = 0, nat = 10, ntyp = 4
/
ATOMIC_SPECIES
Pr 140.91 Pr.upf
Rb 85.47 Rb.upf
Br 79.90 Br.upf
Ag 107.87 Ag.upf
ATOMIC_POSITIONS angstrom
Pr -3.800 -0.162 9.238
Rb -5.700 -0.243 13.857
Br -2.366 0.566 11.651
Br -5.234 -0.890 6.825
Br -1.511 -1.700 8.342
Br -2.745 2.186 7.902
Br -6.089 1.376 10.134
Br -4.855 -2.510 10.573
Ag 0.000 0.000 0.000
Rb -1.900 -0.081 4.619
CELL_PARAMETERS angstrom
0.753 -3.221 7.456
-1.702 4.508 6.582
-6.652 -1.610 4.438
```

=====

2.
Below is a relaxed structure of LiAlSi2HO7, with properties calculated at the GGA-PBE level. Values from VASP.

Energy (Ha/atom): -0.2536
Space-group type: P1

```
&SYSTEM
  ibrav = 0, nat = 24, ntyp = 5
/
ATOMIC_SPECIES
O 16.00 O.upf
Si 28.09 Si.upf
Li 6.94 Li.upf
H 1.01 H.upf
Al 26.98 Al.upf
ATOMIC_POSITIONS angstrom
O -4.050 -0.509 -3.280
O -5.949 -3.381 -4.975
O -4.496 -4.081 -1.217
O -1.434 -0.675 -3.806
Si -7.599 -6.881 -5.316
Li -5.823 -2.843 -6.937
Si -7.177 -6.369 -2.242
Li -4.240 -5.697 -2.361
H -5.170 -5.352 -5.128
O -2.623 0.902 -0.020
Al -2.920 -2.185 -6.852
O -7.416 -6.192 -3.846
O -2.558 -5.574 -8.032
H -5.720 -2.813 -4.208
O -2.714 -2.667 -2.570
Si -3.140 -3.173 -1.068
O -4.022 -3.395 -7.554
O -4.846 -4.864 -4.321
Al -6.780 -5.471 -8.042
O -3.165 -2.189 -5.142
O -7.237 -4.848 -1.621
Si -2.835 -1.516 -3.718
O -6.714 -6.075 -6.399
O -1.258 -2.658 -7.259
CELL_PARAMETERS angstrom
-4.673 1.807 0.080
-0.651 -1.480 -7.514
-3.083 -7.939 -1.945
```

=====

3.
Below is a relaxed structure of U4Fe, with properties calculated at the GGA-PBE level. Values from VASP.

Energy (Ha/atom): -0.3678
Space-group type: Fd-3m

```
&SYSTEM
  ibrav = 0, nat = 10, ntyp = 2
/
ATOMIC_SPECIES
U 238.03 U.upf
Fe 55.84 Fe.upf
ATOMIC_POSITIONS angstrom
U -1.396 -3.348 -3.348
U -1.396 -1.396 -1.396
U -3.348 -3.348 -1.396
U -5.720 -5.720 -5.720
Fe 0.000 0.000 0.000
Fe -7.116 -7.116 -7.116
U -3.768 -3.768 -5.720
U -3.348 -1.396 -3.348
U -3.768 -5.720 -3.768
U -5.720 -3.768 -3.768
CELL_PARAMETERS angstrom
-4.744 -4.744 0.000
-4.744 0.000 -4.744
0.000 -4.744 -4.744
```

=====

4.
Below is a relaxed structure of Na7Ti3ZnSi3P3O24, with properties calculated at the GGA-PBE level. Values from VASP.

Energy (Ha/atom): -0.2565
Space-group type: P1

```
&SYSTEM
  ibrav = 0, nat = 123, ntyp = 6
/
ATOMIC_SPECIES
O 16.00 O.upf
Ti 47.87 Ti.upf
Na 22.99 Na.upf
Si 28.09 Si.upf
Zn 65.41 Zn.upf
P 30.97 P.upf
ATOMIC_POSITIONS angstrom
O 5.473 3.755 9.252
Ti 4.389 7.664 18.746
O 3.520 6.469 19.936
O 1.777 0.114 6.781
O -1.041 6.408 5.490
O 0.897 1.410 17.758
Na -2.867 5.359 12.810
Na 1.742 2.845 5.354
Si 1.333 2.933 9.112
Zn 4.465 7.761 7.753
O 6.153 2.508 5.349
Si -2.620 5.131 9.152
O 1.560 4.941 18.758
Si -3.205 5.522 16.439
O 7.316 0.113 17.645
P -1.323 2.292 5.507
O 3.446 3.758 20.189
O 2.772 7.552 15.139
O -0.745 6.666 12.697
O -0.728 1.512 4.243
O -3.560 6.424 9.106
Na 0.005 5.034 14.531
O 1.582 5.447 5.470
O 1.039 6.402 16.504
O 0.903 1.228 1.969
O -2.868 7.609 19.986
O 5.512 1.367 0.627
O 1.626 5.317 21.365
O 0.661 1.483 9.078
O 2.651 2.989 3.154
O 6.083 2.354 11.541
Ti 0.086 5.156 0.347
O -0.715 3.653 21.348
O -1.647 5.327 10.451
O 4.962 1.117 9.243
O 1.616 5.131 12.648
O 0.669 6.565 1.628
O -1.071 3.822 18.746
O -3.522 6.450 15.099
P 3.130 4.853 12.803
P 3.155 5.507 5.491
Zn 4.450 2.564 3.834
Na 0.021 5.195 3.618
Na 7.156 2.864 16.273
Ti 0.015 0.017 14.132
Na 7.372 2.194 9.040
O 0.805 3.868 1.631
P -1.335 7.407 20.079
O 0.587 1.480 15.244
Ti 4.518 2.548 10.497
O 3.458 1.184 11.555
Ti -0.012 5.172 6.943
Si 2.589 5.131 20.036
Na 3.342 0.049 16.314
O 3.763 4.105 5.386
Si 5.788 0.292 1.848
P 1.885 7.707 16.418
O 3.785 4.122 11.596
O 5.107 0.820 3.202
Na 2.836 4.777 16.331
O -2.827 7.623 4.244
O 2.849 2.315 0.544
Na 4.375 7.676 21.803
Na 5.640 0.087 5.353
Na 6.056 4.871 5.391
O -0.617 1.442 19.976
O 2.733 2.358 16.383
O 0.633 3.743 10.350
Na 0.008 0.071 10.860
Si -1.397 2.870 20.079
Na 4.561 2.620 18.249
Ti -0.106 5.110 17.868
Na -1.267 2.622 1.770
O 7.443 0.133 1.943
Si 1.851 2.595 1.816
O 5.145 6.390 17.669
P -1.878 7.743 5.513
Zn 4.501 2.659 14.892
O 5.462 1.159 16.398
Na -1.582 7.548 1.816
O 5.691 4.070 3.113
O 5.083 4.070 16.451
Ti 4.498 2.537 21.441
Na 2.684 0.268 9.081
O 8.004 1.181 12.891
P 1.217 2.208 16.488
O -0.890 3.903 12.636
O 2.956 2.868 9.256
O 3.319 4.104 14.121
Na 4.453 2.586 7.224
O 3.531 1.188 5.421
O -0.757 6.696 18.812
Ti -0.027 0.041 3.208
O 2.829 7.617 9.104
O 0.527 3.619 16.493
Ti -0.027 5.094 11.350
O 5.093 4.146 0.645
O 1.049 3.887 7.766
O 5.128 6.284 1.909
O 7.916 1.488 6.748
O 3.799 1.037 20.159
O 6.302 2.920 14.148
Na 3.364 5.274 9.074
O 3.842 6.265 12.841
O -0.565 3.666 5.474
O 5.973 2.743 20.217
O 3.740 0.922 14.088
O 3.527 6.399 4.230
Na 1.618 2.269 20.085
O -1.037 6.562 21.339
Na 1.586 7.517 12.721
O -1.659 5.100 1.612
O 1.580 0.152 12.866
Na 2.846 5.348 1.878
O 3.695 6.138 6.768
P 5.808 4.876 1.816
Si 7.146 2.587 12.816
O -1.640 4.885 7.817
O 0.557 6.696 7.828
Si 1.240 7.429 9.172
O 0.895 6.524 10.475
O -1.548 5.432 16.515
P 3.141 0.323 12.812
CELL_PARAMETERS angstrom
8.981 0.004 -0.020
-4.488 7.774 -0.001
-0.053 -0.032 21.910
```

=====

5.
Below is a relaxed structure of Na4Mg3SiGeS5O24, with properties calculated at the GGA-PBE level. Values from VASP.

Energy (Ha/atom): -0.2227
Space-group type: P1

```
&SYSTEM
  ibrav = 0, nat = 114, ntyp = 6
/
ATOMIC_SPECIES
O 16.00 O.upf
S 32.06 S.upf
Na 22.99 Na.upf
Mg 24.30 Mg.upf
Ge 72.64 Ge.upf
Si 28.09 Si.upf
ATOMIC_POSITIONS angstrom
O -0.620 3.534 5.694
O 4.990 4.055 0.547
S 5.609 4.670 1.850
S 1.268 7.292 9.280
O 1.013 6.493 10.477
O 1.732 4.599 19.169
S 1.352 2.726 9.272
O -0.991 6.207 21.668
O 3.879 6.083 13.015
O 2.788 2.322 16.635
Na 1.591 2.699 5.568
O 1.137 3.547 8.060
O -1.461 5.169 16.764
O 4.995 1.104 9.478
O 3.389 1.115 11.740
O 3.442 3.675 20.519
Mg 4.289 7.393 14.427
Na 4.487 2.444 7.402
O -3.474 6.126 9.141
O 3.464 6.059 20.171
O -0.952 6.337 5.655
O 1.740 0.184 6.756
O 4.970 5.999 1.900
O 5.859 2.644 20.636
O 0.661 6.727 8.071
Ge 4.414 2.524 10.737
S 3.082 5.304 5.545
S 3.188 0.255 12.984
O 1.056 3.744 1.718
Mg 4.434 2.477 4.146
Na 4.250 7.381 11.078
Mg 4.359 7.501 3.277
O 3.419 1.183 5.434
O 3.820 0.808 14.167
Mg 0.083 -0.060 18.916
O 0.653 6.526 1.681
O 6.107 2.104 11.722
O 3.321 6.106 4.334
O 3.928 3.959 11.626
O 3.848 1.107 20.633
Na 0.057 0.083 0.013
O -0.642 1.583 4.355
O 3.661 5.914 6.751
S 1.772 7.408 16.711
O 2.608 7.216 15.519
Si 3.094 4.660 12.993
Na 4.453 2.358 18.450
S 5.674 0.265 1.889
Si -1.231 7.138 20.425
Mg 4.362 2.448 15.263
O 0.767 1.377 9.142
O -3.226 6.051 15.461
O 6.097 2.598 14.153
O 1.491 4.752 12.801
O 6.014 2.314 5.443
S 1.855 2.521 1.855
Mg -0.027 5.076 7.028
Na -2.818 5.208 12.923
S 2.572 4.897 20.384
O 1.788 5.173 21.581
O -1.030 3.681 12.753
Ge 4.544 2.273 21.896
O 1.031 1.402 17.920
O 3.665 3.927 5.428
O 2.877 2.590 9.394
Na 1.277 2.510 13.053
O 5.300 1.007 16.628
O 2.697 2.654 3.045
O 5.474 1.095 0.570
O -1.093 3.755 19.067
S 7.473 2.153 5.589
O 0.748 1.594 15.486
O -0.383 6.575 19.061
O 0.671 3.578 16.832
O 1.699 0.197 13.108
O 2.724 7.473 9.138
O 7.141 0.172 1.971
O 5.205 3.847 16.603
S 1.320 2.199 16.715
Mg 4.355 7.490 7.789
O -2.809 7.328 20.163
O -1.788 5.123 10.522
O 3.335 3.649 14.206
O 8.035 1.190 20.221
S -1.820 7.523 5.505
O 5.349 3.625 9.380
S -2.572 4.967 9.282
O 5.194 5.831 17.921
Na -0.065 5.092 3.676
Ge -0.123 5.007 18.187
S 6.924 2.397 12.971
Na 1.559 2.086 20.447
Mg 0.112 5.021 11.466
O 0.785 3.348 10.480
O -0.380 3.303 21.657
O -1.731 4.769 8.099
Mg -0.077 5.019 0.399
O 1.599 5.121 5.676
O 6.976 -0.016 17.999
O 7.730 1.339 6.792
Si -1.196 2.737 20.433
O -0.724 6.458 12.732
O -2.644 7.340 4.291
Na 0.223 5.022 14.790
Na 5.691 4.972 20.440
O 1.015 1.305 1.906
Na 6.055 0.100 20.347
O 5.304 3.829 2.990
O -1.679 4.808 1.712
S -3.001 5.245 16.673
O 7.866 1.262 13.096
O 5.060 0.948 3.009
O 0.946 6.115 16.803
O 2.719 2.302 0.567
CELL_PARAMETERS angstrom
8.747 -0.035 0.032
-4.404 7.582 -0.058
0.082 -0.125 22.256
```

=====

6.
Below is a relaxed structure of BaNa2Si4, with properties calculated at the GGA-PBE level. Values from VASP.

Energy (Ha/atom): -0.1440
Space-group type: Ima2

```
&SYSTEM
  ibrav = 0, nat = 28, ntyp = 3
/
ATOMIC_SPECIES
Si 28.09 Si.upf
Na 22.99 Na.upf
Ba 137.33 Ba.upf
ATOMIC_POSITIONS angstrom
Si 6.226 2.394 -0.820
Si 0.634 2.394 2.152
Si 2.668 1.169 2.551
Si 1.745 1.159 11.907
Si 1.745 -1.159 6.162
Na 4.323 0.000 0.000
Na 0.018 4.475 4.088
Na 4.313 4.475 4.947
Si 1.745 5.946 6.162
Si 2.668 3.618 2.551
Ba 2.840 2.394 -3.010
Ba 4.294 0.000 9.035
Ba -1.456 2.394 12.044
Si -0.530 7.181 2.443
Si 4.930 2.394 6.882
Si 2.668 5.956 -2.551
Si 1.930 2.394 9.855
Na 4.313 0.312 4.947
Si 6.040 -1.159 2.873
Na 0.018 0.312 4.088
Si -1.907 2.394 8.544
Na 5.792 2.394 2.335
Ba 8.589 0.000 0.000
Si 2.388 2.394 0.491
Na 1.497 2.394 6.699
Si -1.627 3.618 6.484
Na 0.028 0.000 9.035
Si 3.766 -2.394 6.592
CELL_PARAMETERS angstrom
-4.296 4.787 9.035
4.296 -4.787 9.035
4.296 4.787 -9.035
```

=====

Summary of calculated density in Mg/m³
3.9, 2.2, 15.7, 3.0, 2.7, 2.6
(order as listed above)